Pr2Fe14B after structural relaxation. Source: the Materials Project, functional PBE-GGA.

Summary:
- DFT formation energy (meV/atom) = -42
- volume (Å³ per atom) = 13.81
- crystal system = tetragonal
- total DFT energy (no corrections) (eV for the cell shown) = -542.1

Cell lengths 8.783, 8.783, 12.172 Å; angles 90.00, 90.00, 90.00 degrees
Positions (direct):
Fe 0.860 0.463 0.677
Fe 0.500 0.500 0.886
Fe 0.860 0.463 0.323
Fe 0.682 0.682 0.754
Fe 0.775 0.432 0.128
Fe 0.225 0.568 0.128
Fe 0.932 0.725 0.628
Fe 0.818 0.182 0.254
Fe 0.182 0.818 0.254
Fe 0.140 0.537 0.323
Fe 0.463 0.860 0.323
Fe 0.725 0.932 0.372
Fe 0.098 0.098 0.794
Fe 0.537 0.140 0.323
Fe 0.963 0.640 0.177
Fe 0.902 0.902 0.206
Fe 0.963 0.640 0.823
Fe 0.500 0.000 0.500
Fe 0.818 0.182 0.746
Fe 0.000 0.500 0.000
Fe 0.537 0.140 0.677
Fe 0.360 0.037 0.177
Fe 0.037 0.360 0.177
Fe 0.725 0.932 0.628
Fe 0.500 0.000 0.000
Fe 0.932 0.725 0.372
Fe 0.568 0.225 0.872
Fe 0.068 0.275 0.628
Fe 0.000 0.000 0.614
Fe 0.275 0.068 0.372
Fe 0.000 0.500 0.500
Fe 0.098 0.098 0.206
Fe 0.318 0.318 0.246
Fe 0.598 0.402 0.706
Fe 0.640 0.963 0.823
Fe 0.360 0.037 0.823
Fe 0.775 0.432 0.872
Fe 0.318 0.318 0.754
Fe 0.463 0.860 0.677
Fe 0.682 0.682 0.246
Fe 0.432 0.775 0.128
Fe 0.500 0.500 0.114
Fe 0.225 0.568 0.872
Fe 0.568 0.225 0.128
Fe 0.037 0.360 0.823
Fe 0.275 0.068 0.628
Fe 0.140 0.537 0.677
Fe 0.640 0.963 0.177
Fe 0.068 0.275 0.372
Fe 0.432 0.775 0.872
Fe 0.902 0.902 0.794
Fe 0.402 0.598 0.706
Fe 0.402 0.598 0.294
Fe 0.182 0.818 0.746
Fe 0.000 0.000 0.386
Fe 0.598 0.402 0.294
Pr 0.142 0.858 0.000
Pr 0.731 0.731 0.000
Pr 0.858 0.142 0.000
Pr 0.231 0.769 0.500
Pr 0.269 0.269 0.000
Pr 0.769 0.231 0.500
Pr 0.642 0.642 0.500
Pr 0.358 0.358 0.500
B 0.377 0.623 0.000
B 0.623 0.377 0.000
B 0.123 0.123 0.500
B 0.877 0.877 0.500

---

Pr2Fe14B after structural relaxation. Source: the Materials Project, functional PBE-GGA.

Summary:
- DFT formation energy (meV/atom) = 218
- volume (Å³ per atom) = 14.20
- crystal system = tetragonal
- total DFT energy (no corrections) (eV for the cell shown) = -524.5

Cell lengths 8.751, 8.751, 12.612 Å; angles 90.00, 90.00, 90.00 degrees
Positions (direct):
B 0.896 0.896 0.500
B 0.396 0.604 0.000
B 0.604 0.396 0.000
B 0.104 0.104 0.500
Fe 0.541 0.232 0.886
Fe 0.195 0.805 0.750
Fe 0.695 0.695 0.750
Fe 0.144 0.525 0.322
Fe 0.500 0.000 0.000
Fe 0.268 0.041 0.614
Fe 0.144 0.525 0.678
Fe 0.525 0.144 0.678
Fe 0.232 0.541 0.114
Fe 0.856 0.475 0.322
Fe 0.525 0.144 0.322
Fe 0.897 0.897 0.245
Fe 0.397 0.603 0.255
Fe 0.732 0.959 0.386
Fe 0.695 0.695 0.250
Fe 0.356 0.025 0.822
Fe 0.897 0.897 0.755
Fe 0.475 0.856 0.678
Fe 0.025 0.356 0.822
Fe 0.232 0.541 0.886
Fe 0.356 0.025 0.178
Fe 0.541 0.232 0.114
Fe 0.644 0.975 0.178
Fe 0.805 0.195 0.250
Fe 0.975 0.644 0.178
Fe 0.103 0.103 0.245
Fe 0.475 0.856 0.322
Fe 0.103 0.103 0.755
Fe 0.041 0.268 0.614
Fe 0.305 0.305 0.750
Fe 0.959 0.732 0.614
Fe 0.768 0.459 0.886
Fe 0.732 0.959 0.614
Fe 0.768 0.459 0.114
Fe 0.603 0.397 0.745
Fe 0.268 0.041 0.386
Fe 0.195 0.805 0.250
Fe 0.603 0.397 0.255
Fe 0.000 0.500 0.000
Fe 0.644 0.975 0.822
Fe 0.805 0.195 0.750
Fe 0.500 0.500 0.601
Fe 0.459 0.768 0.886
Fe 0.397 0.603 0.745
Fe 0.975 0.644 0.822
Fe 0.459 0.768 0.114
Fe 0.500 0.500 0.399
Fe 0.041 0.268 0.386
Fe 0.025 0.356 0.178
Fe 0.500 0.000 0.500
Fe 0.856 0.475 0.678
Fe 0.000 0.500 0.500
Fe 0.959 0.732 0.386
Fe 0.000 0.000 0.101
Fe 0.305 0.305 0.250
Fe 0.000 0.000 0.899
Pr 0.742 0.258 0.500
Pr 0.258 0.742 0.500
Pr 0.820 0.180 0.000
Pr 0.180 0.820 0.000
Pr 0.758 0.758 0.000
Pr 0.320 0.320 0.500
Pr 0.680 0.680 0.500
Pr 0.242 0.242 0.000

---

FeReB after structural relaxation. Source: the Materials Project, functional PBE-GGA.

Summary:
- DFT formation energy (meV/atom) = -193
- volume (Å³ per atom) = 10.66
- crystal system = orthorhombic
- total DFT energy (no corrections) (eV for the cell shown) = -56.3

Cell lengths 4.415, 4.371, 4.371 Å; angles 61.58, 74.96, 105.04 degrees
Positions (direct):
B 0.000 0.750 0.250
B 0.000 0.250 0.750
Fe 0.500 0.674 0.174
Fe 0.500 0.326 0.826
Re 0.830 0.165 0.335
Re 0.170 0.835 0.665

---

Sc2FeB2Ru2Rh3 after structural relaxation. Source: the Materials Project, functional PBE-GGA.

Summary:
- DFT formation energy (meV/atom) = -628
- volume (Å³ per atom) = 13.37
- crystal system = orthorhombic
- total DFT energy (no corrections) (eV for the cell shown) = -162.8

Cell lengths 3.045, 9.341, 9.402 Å; angles 90.00, 90.00, 90.00 degrees
Positions (direct):
B 0.000 0.878 0.370
B 0.000 0.378 0.130
B 0.000 0.622 0.870
B 0.000 0.122 0.630
Ru 0.500 0.930 0.214
Ru 0.500 0.070 0.786
Ru 0.500 0.570 0.714
Ru 0.500 0.430 0.286
Sc 0.000 0.825 0.677
Sc 0.000 0.675 0.177
Sc 0.000 0.175 0.323
Sc 0.000 0.325 0.823
Rh 0.500 0.500 0.000
Rh 0.500 0.000 0.500
Rh 0.500 0.216 0.069
Rh 0.500 0.284 0.569
Rh 0.500 0.716 0.431
Rh 0.500 0.784 0.931
Fe 0.000 0.500 0.500
Fe 0.000 0.000 0.000

---

Question: Among the records above, which one has the highest volume?
Answer: number 2

---

Question: The lowest total DFT energy (no corrections) belongs to which entry?
Answer: number 1

---

Question: total DFT energy (no corrections) of number 4 (Sc2FeB2Ru2Rh3)?
Answer: -162.8 eV for the cell shown